An optimized crystal structure of BaO4, computed with PBE.

a = 4.5005 Å, b = 9.1711 Å, c = 8.4873 Å
α = 90.00°, β = 95.74°, γ = 90.00°
Fractional coordinates of all 20 atoms:
Ba  0.2336  0.1537  0.3384
Ba  0.2336  0.3463  0.8384
Ba  0.7664  0.6537  0.1616
Ba  0.7664  0.8463  0.6616
O  0.1555  0.0561  0.7790
O  0.1555  0.4439  0.2790
O  0.1810  0.7235  0.4565
O  0.1810  0.7765  0.9565
O  0.2558  0.0194  0.6364
O  0.2558  0.4806  0.1364
O  0.2975  0.7261  0.8298
O  0.2975  0.7739  0.3298
O  0.7025  0.2261  0.6702
O  0.7025  0.2739  0.1702
O  0.7442  0.5194  0.8636
O  0.7442  0.9806  0.3636
O  0.8190  0.2235  0.0435
O  0.8190  0.2765  0.5435
O  0.8445  0.5561  0.7210
O  0.8445  0.9439  0.2210

Output
Raw total energy   -108.329 eV for the cell shown
SG   P2_1/c
Mass density   3.8 g cm⁻³
E above lowest polymorph   0.000 eV/atom
Spin magnetization   2.0 μB per formula unit
Calculated formation energy   -1.203 eV/atom